{
  "formula": "KFePO4",
  "functional": "PBE+U",
  "state": "relaxed",
  "energy_corrected_mp2020_ev_per_atom": -7.332,
  "spacegroup": "Pnma, No. 62",
  "de_polymorph_ev_per_fu": 0.56,
  "delta_e_f_mev_per_atom": -2363,
  "cell": [[-4.708, -0.140, -2.650], [-3.130, -1.960, 5.665], [-1.709, 9.979, 2.508]],
  "species": ["O", "O", "K", "O", "P", "O", "O", "P", "K", "O", "O", "O", "O", "O", "Fe", "Fe", "O", "O", "O", "Fe", "P", "P", "K", "K", "O", "O", "Fe", "O"],
  "frac_coords": [[0.398, 0.250, 0.021], [0.602, 0.750, 0.979], [0.000, 0.000, 0.000], [0.898, 0.750, 0.479], [0.542, 0.750, 0.126], [0.165, 0.066, 0.311], [0.665, 0.934, 0.189], [0.042, 0.250, 0.374], [0.500, 0.000, 0.500], [0.744, 0.250, 0.858], [0.835, 0.566, 0.689], [0.165, 0.434, 0.311], [0.665, 0.566, 0.189], [0.102, 0.250, 0.521], [0.472, 0.750, 0.798], [0.528, 0.250, 0.202], [0.256, 0.750, 0.142], [0.335, 0.434, 0.811], [0.835, 0.934, 0.689], [0.028, 0.750, 0.298], [0.958, 0.750, 0.626], [0.458, 0.250, 0.874], [0.500, 0.500, 0.500], [0.000, 0.500, 0.000], [0.244, 0.750, 0.642], [0.335, 0.066, 0.811], [0.972, 0.250, 0.702], [0.756, 0.250, 0.358]]
}